No. 1
Density functional theory data (PBE) for Na15Nb5Zn7Si9S9O72 after structural relaxation.

Unit cell a=9.102 b=9.022 c=22.453 alpha=90.08 beta=90.87 gamma=120.28
Fractional coordinates of all 117 atoms:
O (0.177, 0.723, 0.474)
O (0.169, 0.464, 0.254)
O (0.002, 0.182, 0.907)
O (0.686, 0.163, 0.029)
O (0.493, 0.152, 0.248)
O (0.879, 0.346, 0.639)
O (0.501, 0.627, 0.856)
O (0.342, 0.474, 0.078)
O (0.826, 0.797, 0.583)
O (0.874, 0.531, 0.140)
O (0.513, 0.145, 0.924)
O (0.848, 0.317, 0.531)
O (0.825, 0.514, 0.743)
O (0.785, 0.977, 0.697)
O (0.817, 0.825, 0.911)
O (0.128, 0.483, 0.580)
O (0.200, 0.163, 0.087)
O (0.167, 0.456, 0.978)
O (0.866, 0.325, 0.245)
O (0.133, 0.507, 0.863)
O (0.969, 0.801, 0.087)
O (0.371, 0.872, 0.859)
O (0.857, 0.370, 0.927)
O (0.187, 0.221, 0.695)
O (0.136, 0.635, 0.359)
O (0.849, 0.541, 0.031)
O (0.163, 0.975, 0.197)
O (0.662, 0.135, 0.148)
O (0.056, 0.834, 0.694)
O (0.634, 0.486, 0.925)
O (0.646, 0.528, 0.638)
O (0.852, 0.485, 0.428)
O (0.027, 0.206, 0.196)
O (0.481, 0.153, 0.531)
O (0.661, 0.140, 0.743)
O (0.166, 0.177, 0.413)
O (0.626, 0.130, 0.423)
O (0.793, 0.990, 0.410)
O (0.679, 0.529, 0.529)
O (0.516, 0.650, 0.577)
O (0.178, 0.685, 0.757)
O (0.810, 0.790, 0.313)
O (0.225, 0.026, 0.315)
O (0.848, 0.029, 0.091)
O (0.327, 0.467, 0.479)
O (0.502, 0.847, 0.082)
O (0.127, 0.647, 0.081)
O (0.299, 0.815, 0.256)
O (0.473, 0.355, 0.137)
O (0.366, 0.875, 0.580)
O (0.367, 0.502, 0.362)
O (0.183, 0.007, 0.909)
O (0.215, 0.038, 0.581)
O (0.323, 0.481, 0.752)
O (0.547, 0.855, 0.471)
O (0.969, 0.779, 0.810)
O (0.528, 0.832, 0.752)
O (0.797, 0.024, 0.805)
O (0.546, 0.710, 0.972)
O (0.995, 0.815, 0.414)
O (0.806, 0.836, 0.195)
O (0.698, 0.522, 0.242)
O (0.506, 0.353, 0.426)
O (0.217, 0.204, 0.804)
O (0.981, 0.187, 0.304)
O (0.455, 0.309, 0.029)
O (0.518, 0.697, 0.257)
O (0.278, 0.829, 0.973)
O (0.510, 0.880, 0.363)
O (0.965, 0.167, 0.584)
O (0.478, 0.133, 0.640)
O (0.464, 0.315, 0.744)
Zn (0.006, 0.990, 0.653)
Zn (0.016, 0.991, 0.350)
Zn (0.690, 0.345, 0.681)
Zn (0.351, 0.684, 0.014)
Zn (0.636, 0.317, 0.185)
Zn (0.311, 0.648, 0.514)
Zn (0.994, 0.986, 0.852)
Na (0.634, 0.007, 0.238)
Na (0.706, 0.012, 0.918)
Na (0.313, 0.299, 0.918)
Na (0.708, 0.683, 0.407)
Na (0.310, 0.657, 0.660)
Na (0.348, 0.671, 0.152)
Na (0.648, 0.335, 0.321)
Na (0.016, 0.016, 0.498)
Na (0.303, 0.019, 0.412)
Na (0.977, 0.691, 0.913)
Na (0.650, 0.639, 0.754)
Na (0.349, 0.000, 0.743)
Na (0.692, 0.351, 0.826)
Na (0.991, 0.642, 0.248)
Na (0.000, 0.002, 0.992)
S (0.623, 0.960, 0.419)
S (0.665, 0.632, 0.584)
S (0.701, 0.999, 0.749)
S (0.292, 0.299, 0.749)
S (0.006, 0.288, 0.251)
S (0.369, 0.330, 0.084)
S (0.379, 0.043, 0.585)
S (0.959, 0.327, 0.585)
S (0.959, 0.624, 0.086)
Nb (0.669, 0.340, 0.480)
Nb (0.668, 0.324, 0.979)
Nb (0.329, 0.657, 0.313)
Nb (0.989, 0.986, 0.146)
Nb (0.320, 0.663, 0.819)
Si (0.044, 0.667, 0.420)
Si (0.662, 0.036, 0.089)
Si (0.044, 0.373, 0.923)
Si (0.704, 0.701, 0.253)
Si (0.626, 0.667, 0.918)
Si (0.321, 0.368, 0.421)
Si (0.327, 0.958, 0.920)
Si (0.298, 0.004, 0.254)
Si (0.999, 0.702, 0.749)


No. 2
Density functional theory data (PBE) for Na6Zr4Nb4Si9S3O48 after structural relaxation.

Unit cell a=18.088 b=9.018 c=23.111 alpha=90.00 beta=89.92 gamma=119.85
Fractional coordinates of all 222 atoms:
O (0.326, 0.496, 0.927)
O (0.557, 0.474, 0.864)
O (0.753, 0.874, 0.360)
O (0.490, 0.165, 0.307)
O (0.409, 0.801, 0.303)
O (0.752, 0.151, 0.926)
O (0.848, 0.528, 0.524)
O (0.910, 0.024, 0.088)
O (0.571, 0.456, 0.968)
O (0.143, 0.463, 0.753)
O (0.559, 0.629, 0.357)
O (0.093, 0.015, 0.309)
O (0.739, 0.302, 0.750)
O (0.933, 0.513, 0.421)
O (0.238, 0.310, 0.028)
O (0.912, 0.514, 0.030)
O (0.179, 0.503, 0.076)
O (0.738, 0.164, 0.528)
O (0.744, 0.354, 0.423)
O (0.592, 0.023, 0.584)
O (0.261, 0.832, 0.757)
O (0.754, 0.641, 0.862)
O (0.413, 0.314, 0.528)
O (0.823, 0.127, 0.136)
O (0.082, 0.179, 0.406)
O (0.586, 0.696, 0.470)
O (0.490, 0.803, 0.807)
O (0.773, 0.847, 0.755)
O (0.148, 0.819, 0.258)
O (0.936, 0.359, 0.646)
O (0.236, 0.166, 0.525)
O (0.348, 0.167, 0.025)
O (0.737, 0.308, 0.025)
O (0.919, 0.820, 0.304)
O (0.655, 0.455, 0.469)
O (0.417, 0.021, 0.090)
O (0.084, 0.695, 0.754)
O (0.411, 0.981, 0.408)
O (0.013, 0.210, 0.199)
O (0.575, 0.500, 0.569)
O (0.155, 0.854, 0.969)
O (0.588, 0.211, 0.696)
O (0.183, 0.859, 0.574)
O (0.251, 0.354, 0.424)
O (0.436, 0.513, 0.146)
O (0.075, 0.463, 0.257)
O (0.006, 0.829, 0.693)
O (0.827, 0.505, 0.924)
O (0.090, 0.980, 0.912)
O (0.248, 0.853, 0.069)
O (0.582, 0.989, 0.910)
O (0.898, 0.977, 0.697)
O (0.594, 0.168, 0.809)
O (0.857, 0.532, 0.248)
O (0.432, 0.356, 0.923)
O (0.010, 0.821, 0.411)
O (0.354, 0.175, 0.748)
O (0.059, 0.644, 0.362)
O (0.485, 0.813, 0.093)
O (0.352, 0.548, 0.248)
O (0.683, 0.509, 0.076)
O (0.314, 0.118, 0.138)
O (0.581, 0.977, 0.192)
O (0.408, 0.838, 0.911)
O (0.341, 0.537, 0.530)
O (0.991, 0.185, 0.304)
O (0.245, 0.362, 0.142)
O (0.509, 0.200, 0.912)
O (0.679, 0.477, 0.364)
O (0.516, 0.827, 0.692)
O (0.096, 0.025, 0.588)
O (0.918, 0.814, 0.589)
O (0.593, 0.021, 0.306)
O (0.244, 0.134, 0.924)
O (0.910, 0.019, 0.803)
O (0.396, 0.973, 0.689)
O (0.418, 0.021, 0.805)
O (0.757, 0.871, 0.080)
O (0.645, 0.825, 0.253)
O (0.087, 0.967, 0.196)
O (0.680, 0.874, 0.860)
O (0.591, 0.201, 0.412)
O (0.013, 0.185, 0.909)
O (0.178, 0.488, 0.359)
O (0.085, 0.477, 0.971)
O (0.749, 0.368, 0.138)
O (0.981, 0.801, 0.085)
O (0.092, 0.167, 0.087)
O (0.426, 0.507, 0.430)
O (0.917, 0.307, 0.531)
O (0.256, 0.873, 0.362)
O (0.480, 0.155, 0.583)
O (0.075, 0.648, 0.071)
O (0.091, 0.165, 0.806)
O (0.650, 0.843, 0.973)
O (0.058, 0.487, 0.857)
O (0.256, 0.642, 0.578)
O (0.898, 0.822, 0.190)
O (0.908, 0.982, 0.407)
O (0.148, 0.457, 0.471)
O (0.766, 0.841, 0.473)
O (0.271, 0.697, 0.255)
O (0.990, 0.814, 0.807)
O (0.595, 0.167, 0.088)
O (0.745, 0.129, 0.641)
O (0.843, 0.146, 0.031)
O (0.679, 0.856, 0.576)
O (0.985, 0.156, 0.592)
O (0.409, 0.795, 0.585)
O (0.396, 0.818, 0.197)
O (0.916, 0.520, 0.748)
O (0.927, 0.348, 0.931)
O (0.506, 0.181, 0.193)
O (0.072, 0.498, 0.577)
O (0.513, 0.841, 0.407)
O (0.079, 0.184, 0.693)
O (0.583, 0.680, 0.756)
O (0.652, 0.476, 0.760)
O (0.417, 0.520, 0.747)
O (0.251, 0.133, 0.638)
O (0.749, 0.644, 0.568)
O (0.815, 0.510, 0.637)
O (0.573, 0.646, 0.078)
O (0.910, 0.840, 0.908)
O (0.923, 0.305, 0.248)
O (0.327, 0.150, 0.423)
O (0.272, 0.844, 0.476)
O (0.253, 0.633, 0.861)
O (0.853, 0.157, 0.748)
O (0.738, 0.168, 0.245)
O (0.417, 0.314, 0.248)
O (0.239, 0.170, 0.251)
O (0.235, 0.301, 0.745)
O (0.941, 0.512, 0.144)
O (0.773, 0.700, 0.977)
O (0.179, 0.882, 0.865)
O (0.418, 0.528, 0.031)
O (0.071, 0.689, 0.467)
O (0.826, 0.157, 0.426)
O (0.761, 0.684, 0.257)
O (0.323, 0.521, 0.635)
O (0.442, 0.368, 0.642)
O (0.584, 0.473, 0.254)
O (0.264, 0.688, 0.973)
Zr (0.828, 0.344, 0.686)
Zr (0.168, 0.658, 0.811)
Zr (0.829, 0.342, 0.188)
Zr (0.165, 0.655, 0.520)
Zr (0.672, 0.678, 0.814)
Zr (0.334, 0.325, 0.691)
Zr (0.667, 0.677, 0.311)
Zr (0.329, 0.312, 0.186)
Zr (0.507, 0.013, 0.649)
Zr (0.663, 0.672, 0.018)
Zr (0.177, 0.677, 0.316)
Zr (0.005, 0.989, 0.145)
Na (0.506, 0.002, 0.504)
Na (0.005, 0.011, 0.998)
Na (0.821, 0.313, 0.334)
Na (0.000, 0.378, 0.748)
Na (0.503, 0.365, 0.746)
Na (0.997, 0.009, 0.503)
Na (0.328, 0.339, 0.830)
Na (0.002, 0.646, 0.245)
Na (0.498, 0.988, 0.996)
Na (0.832, 0.691, 0.081)
Na (0.172, 0.681, 0.160)
Na (0.165, 0.675, 0.671)
Na (0.666, 0.663, 0.666)
Na (0.500, 0.622, 0.248)
Na (0.662, 0.653, 0.169)
Na (0.334, 0.975, 0.588)
Na (0.329, 0.318, 0.334)
Na (0.827, 0.339, 0.831)
Si (0.690, 0.338, 0.081)
Si (0.332, 0.040, 0.080)
Si (0.979, 0.332, 0.589)
Si (0.812, 0.961, 0.416)
Si (0.855, 0.714, 0.249)
Si (0.355, 0.994, 0.749)
Si (0.499, 0.286, 0.250)
Si (0.479, 0.626, 0.089)
Si (0.999, 0.711, 0.750)
Si (0.314, 0.667, 0.917)
Si (0.522, 0.667, 0.416)
Si (0.686, 0.044, 0.586)
Si (0.501, 0.708, 0.748)
Si (0.979, 0.615, 0.082)
Si (0.814, 0.675, 0.918)
Si (0.142, 0.281, 0.748)
Si (0.665, 0.965, 0.917)
Si (0.022, 0.376, 0.916)
Si (0.187, 0.330, 0.086)
Si (0.833, 0.626, 0.580)
Si (0.147, 0.001, 0.253)
Si (0.643, 0.004, 0.248)
Si (0.479, 0.336, 0.582)
Si (0.316, 0.958, 0.419)
Si (0.192, 0.046, 0.582)
Si (0.167, 0.371, 0.416)
Si (0.647, 0.291, 0.754)
Nb (0.832, 0.344, 0.974)
Nb (0.169, 0.652, 0.021)
Nb (0.003, 0.998, 0.856)
Nb (0.335, 0.348, 0.986)
Nb (0.000, 0.998, 0.355)
Nb (0.506, 0.016, 0.140)
Nb (0.499, 0.985, 0.851)
Nb (0.006, 0.997, 0.640)
Nb (0.505, 0.010, 0.356)
Nb (0.668, 0.684, 0.523)
Nb (0.834, 0.321, 0.487)
Nb (0.333, 0.323, 0.476)
S (0.834, 0.046, 0.083)
S (0.169, 0.960, 0.917)
S (0.333, 0.620, 0.582)
S (0.019, 0.664, 0.416)
S (0.001, 0.288, 0.251)
S (0.517, 0.370, 0.916)
S (0.359, 0.718, 0.250)
S (0.859, 0.000, 0.750)
S (0.669, 0.378, 0.417)


| no. | E_form (eV/atom) | ρ (g/cm3) | energy (eV per atom) |
| --- | --- | --- | --- |
| 1 | -2.37 | 3.1 | -6.405 |
| 2 | -2.95 | 3.0 | -7.658 |